No. 1
DFT (PBE) results for a relaxed IrSe2 crystal.

Output
E_form	-2.0	eV per formula unit
crystal system	orthorhombic

abc: 21.2627 3.8069 6.0215
angles: 90.00 90.00 90.00
Space group Pnma (No. 62)
Unique sites:
1 Ir 0.0766 0.2500 0.0696
2 Ir 0.1950 0.7500 0.5586
3 Se 0.0092 0.7500 0.2227
4 Se 0.1220 0.2500 0.4519
5 Se 0.1384 0.7500 0.9275
6 Se 0.2387 0.7500 0.1827

***

No. 2
DFT (PBE) results for a relaxed MgTi2O4 crystal.

Output
E_form	-20.9	eV per formula unit
crystal system	orthorhombic
E above lowest polymorph	236.7	meV/atom

abc: 2.9167 6.4683 8.6240
angles: 90.00 90.00 90.00
Space group Amm2 (No. 38)
Unique sites:
1 Mg 0.0000 0.0000 0.0000
2 Ti 0.0000 0.0000 0.3258
3 Ti 0.5000 0.0000 0.7112
4 O 0.0000 0.1877 0.8097
5 O 0.5000 0.0000 0.1474
6 O 0.5000 0.0000 0.4938

***

No. 3
DFT (PBE) results for a relaxed Dy5Rh3 crystal.

Output
E_form	-5.7	eV per formula unit
crystal system	hexagonal

abc: 8.2923 8.2923 6.2812
angles: 90.00 90.00 120.00
Space group P6_3/mcm (No. 193)
Unique sites:
1 Dy 0.0000 0.2554 0.2500
2 Dy 0.3333 0.6667 0.0000
3 Rh 0.0000 0.3928 0.7500

***

No. 4
DFT (PBE) results for a relaxed Sb2S4O15 crystal.

Output
E_form	-36.9	eV per formula unit
crystal system	monoclinic

abc: 9.4535 7.2029 18.8530
angles: 90.00 109.00 90.00
Space group P2_1/c (No. 14)
Unique sites:
1 Sb 0.0257 0.1667 0.1430
2 Sb 0.4641 0.6538 0.8567
3 S 0.1340 0.7473 0.2221
4 S 0.2348 0.0415 0.0093
5 S 0.2440 0.0589 0.4843
6 S 0.3621 0.2393 0.7714
7 O 0.0225 0.6051 0.6802
8 O 0.0937 0.5724 0.1849
9 O 0.1230 0.7445 0.3022
10 O 0.1245 0.5738 0.9619
11 O 0.1521 0.2486 0.9863
12 O 0.1556 0.5338 0.5571
13 O 0.1990 0.5542 0.4358
14 O 0.2059 0.1948 0.2580
15 O 0.2884 0.6878 0.7333
16 O 0.3346 0.0863 0.4362
17 O 0.3367 0.0289 0.5650
18 O 0.3774 0.2350 0.6924
19 O 0.3933 0.0766 0.0429
20 O 0.3976 0.0646 0.8092
21 O 0.4701 0.1123 0.3141

***

No. 5
DFT (PBE) results for a relaxed AlV9Au2 crystal.

Output
E_form	-1.0	eV per formula unit
crystal system	orthorhombic

abc: 4.8502 4.8572 14.5515
angles: 90.00 90.00 90.00
Space group Pmmm (No. 47)
Unique sites:
1 Al 0.0000 0.0000 0.1657
2 V 0.0000 0.2461 0.0000
3 V 0.0000 0.2476 0.3293
4 V 0.2431 0.5000 0.1665
5 V 0.2525 0.5000 0.5000
6 V 0.5000 0.0000 0.0823
7 V 0.5000 0.0000 0.2500
8 V 0.5000 0.0000 0.4201
9 Au 0.0000 0.0000 0.5000
10 Au 0.5000 0.5000 0.0000
11 Au 0.5000 0.5000 0.3335

***

No. 6
DFT (PBE) results for a relaxed KAlSe2 crystal.

Output
E_form	-5.5	eV per formula unit
crystal system	monoclinic

abc: 11.0360 11.0402 15.6351
angles: 90.00 100.18 90.00
Space group C2/c (No. 15)
Unique sites:
1 K 0.0366 0.1886 0.3918
2 K 0.2158 0.4386 0.1148
3 Al 0.1012 0.1888 0.6631
4 Al 0.1452 0.4351 0.8374
5 Se 0.0000 0.0555 0.7500
6 Se 0.0000 0.4315 0.2500
7 Se 0.0459 0.3123 0.9324
8 Se 0.2051 0.0629 0.5707
9 Se 0.2434 0.1880 0.2492

***

No. 7
DFT (PBE) results for a relaxed Ca3Mg crystal.

Output
E_form	0.0	eV per formula unit
crystal system	hexagonal

abc: 7.4340 7.4340 6.0160
angles: 90.00 90.00 120.00
Space group P6_3/mmc (No. 194)
Unique sites:
1 Ca 0.1700 0.3400 0.2500
2 Mg 0.3333 0.6667 0.7500

***

No. 8
DFT (PBE) results for a relaxed LiGe crystal.

Output
E_form	-0.6	eV per formula unit
crystal system	tetragonal

abc: 9.8578 9.8578 5.7825
angles: 90.00 90.00 90.00
Space group I4_1/a (No. 88, origin choice 2)
Unique sites:
1 Li 0.0799 0.3864 0.4246
2 Ge 0.1067 0.4476 0.8896

***

No. 9
DFT (PBE) results for a relaxed KSb5S8 crystal.

Output
E_form	-9.5	eV per formula unit
crystal system	monoclinic

abc: 8.6486 19.7189 12.5725
angles: 90.00 133.29 90.00
Space group Pc (No. 7)
Unique sites:
1 K 0.0000 0.0506 0.0000
2 K 0.0610 0.4465 0.2643
3 Sb 0.0793 0.1298 0.7379
4 Sb 0.2779 0.2622 0.2591
5 Sb 0.2841 0.2301 0.5652
6 Sb 0.4350 0.3694 0.0599
7 Sb 0.4976 0.4606 0.7180
8 Sb 0.5114 0.0447 0.4686
9 Sb 0.6790 0.1530 0.3014
10 Sb 0.7030 0.2159 0.0114
11 Sb 0.8674 0.2868 0.8160
12 Sb 0.9327 0.3504 0.5377
13 S 0.0527 0.3970 0.8501
14 S 0.0597 0.1625 0.2225
15 S 0.0787 0.1117 0.5431
16 S 0.1011 0.4600 0.5542
17 S 0.2613 0.2784 0.7368
18 S 0.3020 0.2268 0.0847
19 S 0.4404 0.0824 0.9595
20 S 0.4729 0.4048 0.2647
21 S 0.5100 0.3406 0.6061
22 S 0.5221 0.0374 0.2784
23 S 0.5297 0.4918 0.0512
24 S 0.6453 0.1975 0.4697
25 S 0.6553 0.1684 0.8114
26 S 0.8734 0.3234 0.0123
27 S 0.8926 0.0192 0.6909
28 S 0.9169 0.2933 0.3545